Material: Ca4Al6MoO16
Method: DFT, GGA+U
State: optimized geometry

abc: 9.3375 9.3375 9.5491
angles: 90.00 90.00 90.00
Space group I-4 (No. 82)
Unique sites:
1 Ca 0.2106 0.2575 0.0183
2 Al 0.0000 0.0000 0.0000
3 Al 0.0000 0.0000 0.5000
4 Al 0.0119 0.2480 0.7446
5 Mo 0.0000 0.5000 0.2500
6 O 0.0166 0.3444 0.1417
7 O 0.0255 0.8445 0.9010
8 O 0.0665 0.1509 0.5944
9 O 0.1485 0.6620 0.7036

Calculated values
total energy = -194.639 eV per formula unit
energy of formation from the pure elements = -3.27 eV/atom
total moment = 0.000 Bohr magnetons per cell
ΔE to the lowest computed polymorph = 6 meV per atom

---

Material: Ca4Al6MoO16
Method: DFT, GGA+U
State: optimized geometry

abc: 26.3683 13.2244 9.4361
angles: 90.00 90.00 90.00
Space group Aea2 (No. 41)
Unique sites:
1 Ca 0.0170 0.2332 0.0000
2 Ca 0.1205 0.4856 0.5425
3 Ca 0.1377 0.0273 0.5764
4 Ca 0.2501 0.2391 0.0439
5 Al 0.0000 0.0000 0.0387
6 Al 0.0000 0.0000 0.5240
7 Al 0.0596 0.1341 0.2899
8 Al 0.0628 0.3860 0.2728
9 Al 0.1854 0.1249 0.2945
10 Al 0.1898 0.3747 0.3057
11 Al 0.2435 0.4976 0.5511
12 Mo 0.1362 0.2602 0.7964
13 O 0.0168 0.1119 0.4299
14 O 0.0324 0.4086 0.4377
15 O 0.0471 0.0677 0.1301
16 O 0.0466 0.2600 0.2315
17 O 0.0541 0.4649 0.1240
18 O 0.0892 0.1820 0.8808
19 O 0.1060 0.3637 0.7102
20 O 0.1218 0.1054 0.3479
21 O 0.1263 0.4149 0.3134
22 O 0.1699 0.1845 0.6671
23 O 0.1792 0.3074 0.9269
24 O 0.1947 0.0752 0.1221
25 O 0.2083 0.2494 0.2734
26 O 0.2093 0.3950 0.4826
27 O 0.2117 0.4518 0.1696
28 O 0.2204 0.0773 0.4398

Calculated values
total energy = -194.794 eV per formula unit
energy of formation from the pure elements = -3.28 eV/atom
total moment = 0.006 Bohr magnetons per cell
ΔE to the lowest computed polymorph = 0 meV per atom

---

Material: Ca2Al4Si8W9O24
Method: DFT, GGA+U
State: optimized geometry

abc: 15.2565 13.7303 7.8970
angles: 90.00 112.01 90.00
Space group C2/m (No. 12)
Unique sites:
1 Ca 0.2493 0.0000 0.2143
2 Al 0.1284 0.3015 0.7385
3 Si 0.0758 0.3876 0.3398
4 Si 0.2298 0.3844 0.1532
5 W 0.0000 0.0000 0.5000
6 W 0.0000 0.1638 0.0000
7 W 0.0466 0.0000 0.2044
8 W 0.1372 0.1480 0.4178
9 O 0.0119 0.3106 0.7282
10 O 0.0370 0.5000 0.2960
11 O 0.1377 0.3775 0.5610
12 O 0.1422 0.3649 0.2207
13 O 0.1813 0.1862 0.7250
14 O 0.2019 0.3648 0.9360
15 O 0.2398 0.0000 0.8183

Calculated values
total energy = -326.211 eV per formula unit
energy of formation from the pure elements = -1.81 eV/atom
total moment = 44.032 Bohr magnetons per cell

---

Material: Ca2AlWO5
Method: DFT, GGA+U
State: optimized geometry

abc: 14.3513 6.0719 5.5391
angles: 90.00 90.00 90.00
Space group Ima2 (No. 46)
Unique sites:
1 Ca 0.1112 0.0459 0.0000
2 Al 0.2500 0.5863 0.9681
3 W 0.0000 0.0000 0.5135
4 O 0.0147 0.7486 0.7614
5 O 0.1508 0.0733 0.5354
6 O 0.2500 0.6555 0.6414

Calculated values
total energy = -62.818 eV per formula unit
energy of formation from the pure elements = -2.80 eV/atom
total moment = 11.998 Bohr magnetons per cell

---

Material: AlCo3Se2ClO8
Method: DFT, GGA+U
State: optimized geometry

abc: 5.8734 8.1871 9.7693
angles: 83.72 80.68 88.66
Space group P-1 (No. 2)
Unique sites:
1 Al 0.2019 0.1388 0.2306
2 Co 0.0000 0.0000 0.0000
3 Co 0.0000 0.0000 0.5000
4 Co 0.3022 0.7674 0.2459
5 Co 0.5000 0.0000 0.0000
6 Co 0.5000 0.0000 0.5000
7 Se 0.2105 0.6292 0.5797
8 Se 0.2875 0.6501 0.9171
9 Cl 0.2938 0.1699 0.8050
10 O 0.0294 0.2297 0.3793
11 O 0.0536 0.7854 0.8946
12 O 0.1913 0.6141 0.4089
13 O 0.2113 0.9631 0.1300
14 O 0.2665 0.6122 0.0919
15 O 0.2785 0.9842 0.3721
16 O 0.4343 0.7576 0.5802
17 O 0.4725 0.2114 0.1175

Calculated values
total energy = -84.540 eV per formula unit
energy of formation from the pure elements = -1.43 eV/atom

---

Material: AlFe3Se2ClO8
Method: DFT, GGA+U
State: optimized geometry

abc: 5.5705 8.2961 9.9297
angles: 90.64 91.24 90.13
Space group P-1 (No. 2)
Unique sites:
1 Al 0.2464 0.1570 0.2518
2 Fe 0.0000 0.0000 0.0000
3 Fe 0.0000 0.0000 0.5000
4 Fe 0.2627 0.7724 0.2502
5 Fe 0.5000 0.0000 0.0000
6 Fe 0.5000 0.0000 0.5000
7 Se 0.2471 0.6376 0.9159
8 Se 0.2517 0.6376 0.5850
9 Cl 0.2580 0.1781 0.7469
10 O 0.0005 0.2283 0.1115
11 O 0.0090 0.7721 0.6098
12 O 0.2451 0.9789 0.3692
13 O 0.2474 0.6147 0.0852
14 O 0.2510 0.6158 0.4144
15 O 0.2531 0.9783 0.1316
16 O 0.4893 0.7722 0.8924
17 O 0.5005 0.2286 0.3864

Calculated values
total energy = -88.495 eV per formula unit
energy of formation from the pure elements = -1.55 eV/atom
total moment = 24.000 Bohr magnetons per cell

---

Material: AlNi3Se2ClO8
Method: DFT, GGA+U
State: optimized geometry

abc: 5.5896 9.6408 8.0242
angles: 90.00 90.00 90.00
Space group Pmmn (No. 59, origin choice 2)
Unique sites:
1 Al 0.2500 0.2500 0.1478
2 Ni 0.0000 0.0000 0.0000
3 Ni 0.2500 0.2500 0.7693
4 Se 0.2500 0.5813 0.6382
5 Cl 0.2500 0.7500 0.1804
6 O 0.0006 0.6083 0.7788
7 O 0.2500 0.0915 0.6014
8 O 0.2500 0.1279 0.9661

Calculated values
total energy = -77.357 eV per formula unit
energy of formation from the pure elements = -1.40 eV/atom
total moment = 12.000 Bohr magnetons per cell

---

Material: AlW3Se2ClO8
Method: DFT, GGA+U
State: optimized geometry

abc: 7.5344 8.5093 10.8546
angles: 69.22 81.92 78.37
Space group P1 (No. 1)
Unique sites:
1 Al 0.0000 0.0000 0.0000
2 Al 0.4002 0.2560 0.4046
3 W 0.0633 0.2433 0.6662
4 W 0.1246 0.5895 0.7040
5 W 0.1500 0.1250 0.2138
6 W 0.2138 0.6996 0.2561
7 W 0.5268 0.0006 0.0245
8 W 0.7885 0.1985 0.4192
9 Se 0.6029 0.6801 0.0402
10 Se 0.6711 0.6683 0.8272
11 Se 0.8815 0.5350 0.5725
12 Se 0.9490 0.9091 0.3444
13 Cl 0.3171 0.6667 0.4919
14 Cl 0.4153 0.2841 0.0505
15 O 0.0060 0.0796 0.8259
16 O 0.0674 0.1544 0.0493
17 O 0.1070 0.7958 0.0870
18 O 0.1877 0.3575 0.7682
19 O 0.2727 0.2305 0.5593
20 O 0.2862 0.6720 0.7544
21 O 0.2890 0.4663 0.3031
22 O 0.2903 0.1415 0.3344
23 O 0.3524 0.9209 0.1792
24 O 0.4785 0.0676 0.8612
25 O 0.6015 0.0758 0.4443
26 O 0.6103 0.3812 0.4001
27 O 0.7595 0.0122 0.0402
28 O 0.9125 0.1548 0.5664
29 O 0.9256 0.6666 0.8065
30 O 0.9352 0.2864 0.2649

Calculated values
total energy = -96.264 eV per formula unit
energy of formation from the pure elements = -1.60 eV/atom
total moment = 4.000 Bohr magnetons per cell